# Cu3MoSO9 | the Materials Project | PBE+U | relaxed
# Raw total energy, eV per formula unit: -82.69
data_Cu3MoSO9
_chemical_formula_sum 'Cu12 Mo4 S4 O36'
_space_group_name_H-M_alt 'P n m a'
_space_group_IT_number 62
_cell_length_a 7.544
_cell_length_b 6.880
_cell_length_c 13.726
_cell_angle_alpha 90.00
_cell_angle_beta 90.00
_cell_angle_gamma 90.00
loop_
_space_group_symop_operation_xyz
'x,y,z'
'-x,-y,-z'
'-x+1/2,-y,z+1/2'
'x+1/2,y,-z+1/2'
'x+1/2,-y+1/2,-z+1/2'
'-x+1/2,y+1/2,z+1/2'
'-x,y+1/2,-z'
'x,-y+1/2,z'
loop_
_atom_site_label
_atom_site_type_symbol
_atom_site_fract_x
_atom_site_fract_y
_atom_site_fract_z
Cu1 Cu 0.000 0.000 0.000
Cu2 Cu 0.157 0.250 0.159
Cu3 Cu 0.174 0.750 0.446
Mo1 Mo 0.248 0.250 0.685
S1 S 0.168 0.250 0.400
O1 O 0.028 0.750 0.590
O2 O 0.039 0.250 0.625
O3 O 0.104 0.250 0.018
O4 O 0.130 0.531 0.152
O5 O 0.201 0.250 0.811
O6 O 0.226 0.250 0.296
O7 O 0.243 0.074 0.450